Record 1
A geometry-optimized Li7Co5O12 structure, computed with GGA+U.

Computed properties:
**Polymorph energy (0 for the lowest one)**: 0.101 eV per atom
**Energy relative to the elements**: -1.662 eV/atom
**Total DFT energy (no corrections)**: -5.4885 eV per atom

Cell lengths 3.0008, 5.1363, 14.6691 Å; angles 95.22, 95.44, 105.89 degrees
Last column: nearest neighbours and their distance in Å.
Atoms (fractional coordinates):
Li1 0.9967 0.2543 0.7492  5 O 2.00-2.20
Li2 0.6663 0.4156 0.9169  6 O 2.08-2.19
Li3 0.3337 0.5844 0.0831  6 O 2.08-2.19
Li4 0.0033 0.7457 0.2508  5 O 2.00-2.20
Li5 0.6616 0.9102 0.4169  6 O 2.09-2.24
Li6 0.3384 0.0898 0.5831  6 O 2.09-2.24
Li7 0.0000 0.5000 0.5000  6 O 1.99-2.19
Co1 0.6605 0.6602 0.6596  3 O 1.74-1.93
Co2 0.3395 0.3398 0.3404  3 O 1.74-1.93
Co3 0.3332 0.8329 0.8313  6 O 1.89-2.12
Co4 0.0000 0.0000 0.0000  6 O 1.93-2.10
Co5 0.6668 0.1671 0.1687  6 O 1.89-2.12
O1 0.3620 0.9379 0.7109  2 Co 1.89-2.01, 1 Li 2.10
O2 0.9960 0.1118 0.8782  3 Co 1.93-2.12, 2 Li 2.09-2.13
O3 0.6555 0.2773 0.0462  3 Co 1.93-2.10, 2 Li 2.08-2.12
O4 0.3207 0.4368 0.2161  3 Co 1.93-2.08, 2 Li 2.11-2.16
O5 0.0171 0.5979 0.3720  2 Co 1.89-2.08, 2 Li 1.99-2.00
O6 0.6746 0.7901 0.5540  1 Co 1.74
O7 0.6793 0.5632 0.7839  3 Co 1.93-2.08, 2 Li 2.11-2.16
O8 0.3445 0.7227 0.9538  3 Co 1.93-2.10, 2 Li 2.08-2.12
O9 0.0040 0.8882 0.1218  3 Co 1.93-2.12, 2 Li 2.09-2.13
O10 0.6380 0.0621 0.2891  2 Co 1.89-2.01, 1 Li 2.10
O11 0.3254 0.2099 0.4460  1 Co 1.74
O12 0.9829 0.4021 0.6280  2 Co 1.89-2.08, 2 Li 1.99-2.00

=====

Record 2
A geometry-optimized RbLiBi2Mo4O16 structure, computed with GGA+U.

Computed properties:
**Energy relative to the elements**: -2.009 eV/atom
**Total DFT energy (no corrections)**: -6.5681 eV per atom

Cell lengths 7.1063, 7.1063, 19.8677 Å; angles 89.01, 89.01, 135.54 degrees
Last column: nearest neighbours and their distance in Å.
Atoms (fractional coordinates):
Rb1 0.9691 0.0309 0.2500  6 O 2.81-3.15
Rb2 0.0309 0.9691 0.7500  6 O 2.81-3.15
Li1 0.6856 0.3144 0.2500  4 O 2.06-2.13
Li2 0.3144 0.6856 0.7500  4 O 2.06-2.13
Bi1 0.8479 0.1446 0.0359  7 O 2.32-2.57
Bi2 0.8554 0.1521 0.4641  7 O 2.32-2.57
Bi3 0.1521 0.8554 0.9641  7 O 2.32-2.57
Bi4 0.1446 0.8479 0.5359  7 O 2.32-2.57
Mo1 0.7510 0.2660 0.8506  4 O 1.76-1.87
Mo2 0.5440 0.4191 0.0926  4 O 1.76-1.88
Mo3 0.2490 0.7340 0.1494  4 O 1.76-1.87
Mo4 0.4191 0.5440 0.5926  4 O 1.76-1.88
Mo5 0.5809 0.4560 0.4074  4 O 1.76-1.88
Mo6 0.4560 0.5809 0.9074  4 O 1.76-1.88
Mo7 0.7340 0.2490 0.6494  4 O 1.76-1.87
Mo8 0.2660 0.7510 0.3506  4 O 1.76-1.87
O1 0.1742 0.5140 0.5445  1 Mo 1.88
O2 0.0641 0.4778 0.2136  1 Mo 1.77
O3 0.5222 0.9359 0.2864  1 Mo 1.77
O4 0.5955 0.8983 0.1345  1 Mo 1.84
O5 0.2334 0.2707 0.9608  1 Mo 1.84
O6 0.0678 0.5847 0.0692  1 Mo 1.87
O7 0.1017 0.4045 0.3655  1 Mo 1.84
O8 0.8258 0.4860 0.4555  1 Mo 1.88
O9 0.0139 0.7289 0.3265  1 Mo 1.76
O10 0.7734 0.6895 0.8963  1 Mo 1.79
O11 0.4045 0.1017 0.8655  1 Mo 1.84
O12 0.7666 0.7293 0.0392  1 Mo 1.84
O13 0.2707 0.2334 0.4608  1 Mo 1.84
O14 0.4860 0.8258 0.9555  1 Mo 1.88
O15 0.5847 0.0678 0.5692  1 Mo 1.87
O16 0.7293 0.7666 0.5392  1 Mo 1.84
O17 0.4153 0.9322 0.4308  1 Mo 1.87
O18 0.4864 0.3025 0.3292  1 Mo 1.76
O19 0.5136 0.6975 0.6708  1 Mo 1.76
O20 0.6975 0.5136 0.1708  1 Mo 1.76
O21 0.3025 0.4864 0.8292  1 Mo 1.76
O22 0.7289 0.0139 0.8265  1 Mo 1.76
O23 0.6895 0.7734 0.3963  1 Mo 1.79
O24 0.3105 0.2266 0.6037  1 Mo 1.79
O25 0.5140 0.1742 0.0445  1 Mo 1.88
O26 0.9322 0.4153 0.9308  1 Mo 1.87
O27 0.8983 0.5955 0.6345  1 Mo 1.84
O28 0.9861 0.2711 0.6735  1 Mo 1.76
O29 0.4778 0.0641 0.7136  1 Mo 1.77
O30 0.2711 0.9861 0.1735  1 Mo 1.76
O31 0.9359 0.5222 0.7864  1 Mo 1.77
O32 0.2266 0.3105 0.1037  1 Mo 1.79

=====

Record 3
A geometry-optimized Mn5FeP6O24 structure, computed with GGA+U.

Computed properties:
**Energy relative to the elements**: -2.385 eV/atom
**Total DFT energy (no corrections)**: -7.3408 eV per atom

Cell lengths 8.6099, 8.6099, 8.6099 Å; angles 59.73, 59.73, 59.73 degrees
Last column: nearest neighbours and their distance in Å.
Atoms (fractional coordinates):
Mn1 0.9990 0.9990 0.9990  6 O 2.22-2.25
Mn2 0.3566 0.3566 0.3566  6 O 1.88-1.98
Mn3 0.5004 0.5004 0.5004  6 O 2.25-2.26
Mn4 0.1438 0.1438 0.1438  6 O 1.93-2.03
Mn5 0.6439 0.6439 0.6439  6 O 1.93-2.03
Fe1 0.8555 0.8555 0.8555  6 O 1.95-2.08
P1 0.0413 0.4570 0.7495  4 O 1.52-1.58
P2 0.4570 0.7495 0.0413  4 O 1.52-1.58
P3 0.7495 0.0413 0.4570  4 O 1.52-1.58
P4 0.2511 0.9627 0.5392  4 O 1.53-1.57
P5 0.5392 0.2511 0.9627  4 O 1.53-1.57
P6 0.9627 0.5392 0.2511  4 O 1.53-1.57
O1 0.4868 0.6981 0.8803  1 P 1.53
O2 0.6981 0.8803 0.4868  1 P 1.53
O3 0.8803 0.4868 0.6981  1 P 1.53
O4 0.0596 0.2610 0.9148  1 P 1.56
O5 0.0123 0.6162 0.8019  1 P 1.52
O6 0.2378 0.4405 0.5795  1 P 1.58
O7 0.2610 0.9148 0.0596  1 P 1.56
O8 0.4405 0.5795 0.2378  1 P 1.58
O9 0.1989 0.9905 0.3794  1 P 1.53
O10 0.5795 0.2378 0.4405  1 P 1.58
O11 0.0877 0.9457 0.7343  1 P 1.55
O12 0.3794 0.1989 0.9905  1 P 1.53
O13 0.6162 0.8019 0.0123  1 P 1.52
O14 0.9148 0.0596 0.2610  1 P 1.56
O15 0.4188 0.7669 0.5536  1 P 1.57
O16 0.8019 0.0123 0.6162  1 P 1.52
O17 0.5536 0.4188 0.7669  1 P 1.57
O18 0.7343 0.0877 0.9457  1 P 1.55
O19 0.7669 0.5536 0.4188  1 P 1.57
O20 0.9905 0.3794 0.1989  1 P 1.53
O21 0.9457 0.7343 0.0877  1 P 1.55
O22 0.1254 0.5039 0.3061  1 P 1.54
O23 0.3061 0.1254 0.5039  1 P 1.54
O24 0.5039 0.3061 0.1254  1 P 1.54

=====

Record 4
A geometry-optimized Li6V3P8O29 structure, computed with GGA+U.

Computed properties:
**Polymorph energy (0 for the lowest one)**: 0.008 eV per atom
**Energy relative to the elements**: -2.655 eV/atom
**Total DFT energy (no corrections)**: -7.0128 eV per atom

Cell lengths 9.7935, 9.7958, 14.0658 Å; angles 90.96, 90.89, 60.31 degrees
Last column: nearest neighbours and their distance in Å.
Atoms (fractional coordinates):
Li1 0.7682 0.9084 0.5530  3 O 1.99-2.08
Li2 0.9084 0.3319 0.5610  3 O 1.96-2.03
Li3 0.6849 0.6639 0.8928  1 O 1.86
Li4 0.7638 0.3259 0.0644  4 O 1.93-2.14
Li5 0.3260 0.9082 0.0675  4 O 1.95-2.12
Li6 0.6684 0.2361 0.4356  4 O 1.98-2.15
Li7 0.3322 0.7634 0.5581  4 O 1.93-2.15
Li8 0.6742 0.0938 0.9434  3 O 1.97-2.02
Li9 0.2330 0.6686 0.9451  2 O 1.91-2.03
Li10 0.0971 0.6671 0.4338  4 O 2.00-2.16
Li11 0.9996 0.9955 0.0149  4 O 2.11-2.34
Li12 0.0537 0.0124 0.4823  3 O 1.95-2.14
V1 0.5624 0.4371 0.2499  6 O 1.91-1.98
V2 0.4333 0.5658 0.7459  6 O 1.87-1.99
V3 0.5586 0.9999 0.7489  6 O 1.88-2.06
V4 0.4355 0.0053 0.2529  6 O 1.84-2.02
V5 0.9955 0.5607 0.2444  6 O 1.86-2.06
V6 0.0039 0.4352 0.7547  6 O 1.84-2.03
P1 0.9137 0.7850 0.8389  4 O 1.49-1.62
P2 0.7790 0.9139 0.3383  4 O 1.52-1.62
P3 0.9138 0.3112 0.3460  4 O 1.51-1.60
P4 0.6615 0.6681 0.1311  4 O 1.51-1.57
P5 0.6688 0.6651 0.6315  4 O 1.49-1.59
P6 0.7734 0.3186 0.8420  4 O 1.51-1.62
P7 0.6857 0.2260 0.6573  4 O 1.51-1.61
P8 0.3155 0.9080 0.8474  4 O 1.49-1.60
P9 0.6896 0.0869 0.1559  4 O 1.50-1.62
P10 0.3136 0.7775 0.3408  4 O 1.52-1.61
P11 0.2214 0.6855 0.1585  4 O 1.52-1.62
P12 0.3325 0.3381 0.3667  4 O 1.49-1.58
P13 0.3368 0.3350 0.8688  4 O 1.48-1.59
P14 0.0816 0.6862 0.6533  4 O 1.51-1.61
P15 0.2164 0.0811 0.6636  4 O 1.50-1.62
P16 0.0808 0.2138 0.1618  4 O 1.50-1.63
O1 0.0002 0.7669 0.5620  1 P 1.51
O2 0.9220 0.7478 0.3378  1 P 1.53
O3 0.7813 0.0153 0.0665  1 P 1.50
O4 0.7436 0.9245 0.8420  1 P 1.55
O5 0.9026 0.6310 0.8330  1 P 1.57
O6 0.8073 0.6714 0.1772  1 P 1.57
O7 0.9201 0.4632 0.3347  1 P 1.53
O8 0.9874 0.1956 0.0818  1 P 1.50
O9 0.9165 0.3417 0.8416  1 P 1.53
O10 0.6735 0.8130 0.6756  1 P 1.59
O11 0.6249 0.9089 0.3268  1 P 1.54
O12 0.8123 0.5157 0.6761  1 P 1.57
O13 0.6629 0.6671 0.0240  1 P 1.51
O14 0.6749 0.6647 0.5257  1 P 1.49
O15 0.6719 0.5133 0.1671  1 P 1.56
O16 0.4799 0.8932 0.8311  1 P 1.56
O17 0.5101 0.8141 0.1694  1 P 1.56
O18 0.7418 0.3423 0.3383  1 P 1.56
O19 0.7894 0.2075 0.7509  2 P 1.61-1.62
O20 0.7706 0.2312 0.5701  1 P 1.51
O21 0.7641 0.2363 0.9293  1 P 1.51
O22 0.6257 0.4824 0.8262  1 P 1.56
O23 0.5117 0.6755 0.6668  1 P 1.58
O24 0.6563 0.2599 0.1623  1 P 1.56
O25 0.4663 0.6182 0.3310  1 P 1.54
O26 0.3468 0.9134 0.3398  1 P 1.52
O27 0.7989 0.0018 0.2477  2 P 1.62
O28 0.7780 0.0040 0.4275  1 P 1.52
O29 0.2027 0.9856 0.5833  1 P 1.50
O30 0.6581 0.0846 0.6554  1 P 1.54
O31 0.5288 0.3829 0.6715  1 P 1.56
O32 0.3386 0.7387 0.8367  1 P 1.56
O33 0.4881 0.3255 0.3275  1 P 1.57
O34 0.3800 0.5333 0.1693  1 P 1.54
O35 0.2167 0.7783 0.0716  1 P 1.52
O36 0.2215 0.7844 0.4292  1 P 1.53
O37 0.2031 0.7952 0.2505  2 P 1.61-1.62
O38 0.2493 0.6657 0.6583  1 P 1.55
O39 0.4826 0.1836 0.8241  1 P 1.59
O40 0.5377 0.0794 0.1649  1 P 1.53
O41 0.3326 0.4841 0.8283  1 P 1.56
O42 0.3458 0.3307 0.9741  1 P 1.48
O43 0.3348 0.3412 0.4726  1 P 1.49
O44 0.1861 0.4870 0.3244  1 P 1.57
O45 0.3766 0.0759 0.6684  1 P 1.54
O46 0.3299 0.1908 0.3207  1 P 1.58
O47 0.0852 0.6525 0.1592  1 P 1.52
O48 0.9844 0.8030 0.7395  2 P 1.61-1.62
O49 0.0128 0.7929 0.9182  1 P 1.49
O50 0.0851 0.5301 0.6689  1 P 1.53
O51 0.1874 0.3358 0.8240  1 P 1.58
O52 0.0766 0.3735 0.1672  1 P 1.54
O53 0.2517 0.0782 0.1618  1 P 1.54
O54 0.2415 0.9782 0.9403  1 P 1.49
O55 0.2000 0.0078 0.7626  2 P 1.60-1.62
O56 0.0787 0.2508 0.6626  1 P 1.54
O57 0.9839 0.2255 0.4376  1 P 1.51
O58 0.0077 0.1936 0.2603  2 P 1.60-1.63